[1]
{"formula": "Rb2LuAgCl6", "functional": "PBE", "state": "relaxed", "lattice": [[0.0000, 5.3327, 5.3327], [5.3327, 0.0000, 5.3327], [5.3327, 5.3327, 0.0000]], "species": ["Rb", "Rb", "Lu", "Ag", "Cl", "Cl", "Cl", "Cl", "Cl", "Cl"], "fractional_positions": [[0.2500, 0.2500, 0.2500], [0.7500, 0.7500, 0.7500], [0.0000, 0.0000, 0.0000], [0.5000, 0.5000, 0.5000], [0.2419, 0.2419, 0.7581], [0.2419, 0.7581, 0.2419], [0.2419, 0.7581, 0.7581], [0.7581, 0.2419, 0.2419], [0.7581, 0.2419, 0.7581], [0.7581, 0.7581, 0.2419]], "energy_mp2020_ev_per_atom": -4.223, "formation_enthalpy_0k_ev_per_atom": -2.183, "magmom_total_mub_per_fu": 0.00}

---

[2]
{"formula": "MgO", "functional": "PBE", "state": "relaxed", "lattice": [[1.4975, 0.8646, 19.9822], [-1.4975, 0.8646, 19.9822], [0.0000, -1.7291, 19.9822]], "species": ["Mg", "Mg", "Mg", "Mg", "Mg", "Mg", "Mg", "Mg", "O", "O", "O", "O", "O", "O", "O", "O"], "fractional_positions": [[0.0000, 0.0000, 0.0000], [0.0846, 0.0846, 0.0846], [0.2077, 0.2077, 0.2077], [0.3756, 0.3756, 0.3756], [0.5000, 0.5000, 0.5000], [0.6244, 0.6244, 0.6244], [0.7923, 0.7923, 0.7923], [0.9154, 0.9154, 0.9154], [0.1461, 0.1461, 0.1461], [0.2692, 0.2692, 0.2692], [0.3129, 0.3129, 0.3129], [0.4384, 0.4384, 0.4384], [0.5616, 0.5616, 0.5616], [0.6871, 0.6871, 0.6871], [0.7308, 0.7308, 0.7308], [0.8539, 0.8539, 0.8539]], "energy_mp2020_ev_per_atom": -6.268, "formation_enthalpy_0k_ev_per_atom": -2.994, "magmom_total_mub_per_fu": 0.00}

---

[3]
{"formula": "UCl2O2", "functional": "PBE", "state": "relaxed", "lattice": [[6.0944, 0.0000, 0.0000], [0.0000, 8.4946, 0.0000], [0.0000, 0.0000, 8.7477]], "species": ["U", "U", "U", "U", "Cl", "Cl", "Cl", "Cl", "Cl", "Cl", "Cl", "Cl", "O", "O", "O", "O", "O", "O", "O", "O"], "fractional_positions": [[0.0683, 0.2500, 0.0708], [0.4317, 0.7500, 0.5708], [0.5683, 0.2500, 0.4292], [0.9317, 0.7500, 0.9292], [0.1789, 0.5578, 0.1200], [0.1789, 0.9422, 0.1200], [0.3211, 0.0578, 0.6200], [0.3211, 0.4422, 0.6200], [0.6789, 0.5578, 0.3800], [0.6789, 0.9422, 0.3800], [0.8211, 0.0578, 0.8800], [0.8211, 0.4422, 0.8800], [0.1471, 0.7500, 0.7796], [0.2197, 0.7500, 0.4316], [0.2803, 0.2500, 0.9316], [0.3529, 0.2500, 0.2796], [0.6471, 0.7500, 0.7204], [0.7197, 0.7500, 0.0684], [0.7803, 0.2500, 0.5684], [0.8529, 0.2500, 0.2204]], "energy_mp2020_ev_per_atom": -7.621, "formation_enthalpy_0k_ev_per_atom": -2.645}

---

[4]
{"formula": "BaSi2Ni2", "functional": "PBE", "state": "relaxed", "lattice": [[3.2525, -2.6797, 0.0000], [3.2525, 2.6797, 0.0000], [0.0000, 0.0000, 11.4348]], "species": ["Ba", "Ba", "Si", "Si", "Si", "Si", "Ni", "Ni", "Ni", "Ni"], "fractional_positions": [[0.2038, 0.7962, 0.7500], [0.7962, 0.2038, 0.2500], [0.3113, 0.6887, 0.0668], [0.3113, 0.6887, 0.4332], [0.6887, 0.3113, 0.5668], [0.6887, 0.3113, 0.9332], [0.2045, 0.2045, 0.0000], [0.2045, 0.2045, 0.5000], [0.7955, 0.7955, 0.0000], [0.7955, 0.7955, 0.5000]], "formation_enthalpy_0k_ev_per_atom": -0.556}

---

[5]
{"formula": "Zr2Re", "functional": "PBE", "state": "relaxed", "lattice": [[10.2228, 0.0000, 0.0000], [0.0000, 10.2228, 0.0000], [0.0000, 0.0000, 5.6821]], "species": ["Zr", "Zr", "Zr", "Zr", "Zr", "Zr", "Zr", "Zr", "Zr", "Zr", "Zr", "Zr", "Zr", "Zr", "Zr", "Zr", "Zr", "Zr", "Zr", "Zr", "Re", "Re", "Re", "Re", "Re", "Re", "Re", "Re", "Re", "Re"], "fractional_positions": [[0.0347, 0.3701, 0.0000], [0.1014, 0.1014, 0.0000], [0.1299, 0.5347, 0.5000], [0.1819, 0.8181, 0.2493], [0.1819, 0.8181, 0.7507], [0.3181, 0.3181, 0.2507], [0.3181, 0.3181, 0.7493], [0.3701, 0.0347, 0.0000], [0.3986, 0.6014, 0.5000], [0.4653, 0.8701, 0.5000], [0.5347, 0.1299, 0.5000], [0.6014, 0.3986, 0.5000], [0.6299, 0.9653, 0.0000], [0.6819, 0.6819, 0.2507], [0.6819, 0.6819, 0.7493], [0.8181, 0.1819, 0.2493], [0.8181, 0.1819, 0.7507], [0.8701, 0.4653, 0.5000], [0.8986, 0.8986, 0.0000], [0.9653, 0.6299, 0.0000], [0.0000, 0.0000, 0.5000], [0.0692, 0.2485, 0.5000], [0.2485, 0.0692, 0.5000], [0.2515, 0.5692, 0.0000], [0.4308, 0.7485, 0.0000], [0.5000, 0.5000, 0.0000], [0.5692, 0.2515, 0.0000], [0.7485, 0.4308, 0.0000], [0.7515, 0.9308, 0.5000], [0.9308, 0.7515, 0.5000]], "formation_enthalpy_0k_ev_per_atom": -0.130, "magmom_total_mub_per_fu": 0.02}

---

[6]
{"formula": "SiO2", "functional": "PBE", "state": "relaxed", "lattice": [[6.8143, -10.7002, 0.0000], [6.8143, 10.7002, 0.0000], [0.0000, 0.0000, 12.6920]], "species": ["Si", "Si", "Si", "Si", "Si", "Si", "Si", "Si", "Si", "Si", "Si", "Si", "Si", "Si", "Si", "Si", "Si", "Si", "Si", "Si", "Si", "Si", "Si", "Si", "Si", "Si", "Si", "Si", "O", "O", "O", "O", "O", "O", "O", "O", "O", "O", "O", "O", "O", "O", "O", "O", "O", "O", "O", "O", "O", "O", "O", "O", "O", "O", "O", "O", "O", "O", "O", "O", "O", "O", "O", "O", "O", "O", "O", "O", "O", "O", "O", "O", "O", "O", "O", "O", "O", "O", "O", "O", "O", "O", "O", "O"], "fractional_positions": [[0.1078, 0.6684, 0.1269], [0.1078, 0.6684, 0.8731], [0.1502, 0.4507, 0.1926], [0.1502, 0.4507, 0.8074], [0.3125, 0.4576, 0.3768], [0.3125, 0.4576, 0.6232], [0.3121, 0.4623, 0.0000], [0.3316, 0.8922, 0.1269], [0.3316, 0.8922, 0.8731], [0.4507, 0.1502, 0.1926], [0.4507, 0.1502, 0.8074], [0.4576, 0.3125, 0.3768], [0.4576, 0.3125, 0.6232], [0.4623, 0.3121, 0.0000], [0.5377, 0.6879, 0.0000], [0.5424, 0.6875, 0.3768], [0.5424, 0.6875, 0.6232], [0.5493, 0.8498, 0.1926], [0.5493, 0.8498, 0.8074], [0.6684, 0.1078, 0.1269], [0.6684, 0.1078, 0.8731], [0.6879, 0.5377, 0.0000], [0.6875, 0.5424, 0.3768], [0.6875, 0.5424, 0.6232], [0.8498, 0.5493, 0.1926], [0.8498, 0.5493, 0.8074], [0.8922, 0.3316, 0.1269], [0.8922, 0.3316, 0.8731], [0.0170, 0.3532, 0.1782], [0.0170, 0.3532, 0.8218], [0.0949, 0.6452, 0.0000], [0.1558, 0.5808, 0.1809], [0.1558, 0.5808, 0.8191], [0.1975, 0.4358, 0.3079], [0.1975, 0.4358, 0.6921], [0.1982, 0.8018, 0.1514], [0.1982, 0.8018, 0.8486], [0.2315, 0.4302, 0.1042], [0.2315, 0.4302, 0.8958], [0.2792, 0.4609, 0.5000], [0.3532, 0.0170, 0.1782], [0.3532, 0.0170, 0.8218], [0.3525, 0.3525, 0.3569], [0.3525, 0.3525, 0.6431], [0.3548, 0.9051, 0.0000], [0.3855, 0.3855, 0.0000], [0.3996, 0.6004, 0.0000], [0.4185, 0.5815, 0.3432], [0.4185, 0.5815, 0.6568], [0.4192, 0.8442, 0.1809], [0.4192, 0.8442, 0.8191], [0.4302, 0.2315, 0.1042], [0.4302, 0.2315, 0.8958], [0.4358, 0.1975, 0.3079], [0.4358, 0.1975, 0.6921], [0.4609, 0.2792, 0.5000], [0.5391, 0.7208, 0.5000], [0.5642, 0.8025, 0.3079], [0.5642, 0.8025, 0.6921], [0.5698, 0.7685, 0.1042], [0.5698, 0.7685, 0.8958], [0.5808, 0.1558, 0.1809], [0.5808, 0.1558, 0.8191], [0.5815, 0.4185, 0.3432], [0.5815, 0.4185, 0.6568], [0.6004, 0.3996, 0.0000], [0.6145, 0.6145, 0.0000], [0.6452, 0.0949, 0.0000], [0.6475, 0.6475, 0.3569], [0.6475, 0.6475, 0.6431], [0.6468, 0.9830, 0.1782], [0.6468, 0.9830, 0.8218], [0.7208, 0.5391, 0.5000], [0.7685, 0.5698, 0.1042], [0.7685, 0.5698, 0.8958], [0.8018, 0.1982, 0.1514], [0.8018, 0.1982, 0.8486], [0.8025, 0.5642, 0.3079], [0.8025, 0.5642, 0.6921], [0.8442, 0.4192, 0.1809], [0.8442, 0.4192, 0.8191], [0.9051, 0.3548, 0.0000], [0.9830, 0.6468, 0.1782], [0.9830, 0.6468, 0.8218]], "energy_mp2020_ev_per_atom": -8.359, "formation_enthalpy_0k_ev_per_atom": -3.252}